(1)
Computed, not measured: a geometry-optimized MnCuH10Se2Cl2O10 structure at the PBE+U level of DFT.

Properties
calculated volume: 12.0 A^3/atom
E_form: -1.2179 eV per atom

a b c (Å): 7.215 9.243 18.735
angles (deg): 90.00 90.00 90.00
Fractional coordinates of all 104 atoms:
Se 0.163 0.191 0.453
Se 0.663 0.309 0.547
Se 0.663 0.309 0.953
Se 0.837 0.809 0.547
Se 0.837 0.809 0.953
Se 0.337 0.691 0.453
Se 0.163 0.191 0.047
Se 0.337 0.691 0.047
Cl 0.465 0.963 0.154
Cl 0.965 0.537 0.654
Cl 0.465 0.963 0.346
Cl 0.035 0.463 0.346
Cl 0.535 0.037 0.654
Cl 0.535 0.037 0.846
Cl 0.035 0.463 0.154
Cl 0.965 0.537 0.846
H 0.023 0.847 0.750
H 0.977 0.153 0.250
H 0.112 0.937 0.940
H 0.904 0.770 0.114
H 0.404 0.730 0.886
H 0.612 0.563 0.440
H 0.096 0.230 0.886
H 0.404 0.730 0.614
H 0.738 0.185 0.709
H 0.388 0.437 0.940
H 0.268 0.175 0.657
H 0.738 0.185 0.791
H 0.732 0.825 0.157
H 0.732 0.825 0.343
H 0.586 0.491 0.250
H 0.768 0.325 0.157
H 0.477 0.347 0.750
H 0.904 0.770 0.386
H 0.762 0.685 0.791
H 0.612 0.563 0.060
H 0.086 0.009 0.750
H 0.914 0.991 0.250
H 0.232 0.675 0.657
H 0.388 0.437 0.560
H 0.268 0.175 0.843
H 0.888 0.063 0.440
H 0.238 0.315 0.291
H 0.096 0.230 0.614
H 0.262 0.815 0.291
H 0.238 0.315 0.209
H 0.762 0.685 0.709
H 0.768 0.325 0.343
H 0.232 0.675 0.843
H 0.262 0.815 0.209
H 0.888 0.063 0.060
H 0.414 0.509 0.750
H 0.596 0.270 0.114
H 0.596 0.270 0.386
H 0.112 0.937 0.560
H 0.523 0.653 0.250
O 0.632 0.590 0.250
O 0.279 0.255 0.250
O 0.944 0.710 0.020
O 0.368 0.410 0.750
O 0.267 0.541 0.501
O 0.636 0.299 0.163
O 0.733 0.459 0.499
O 0.056 0.290 0.520
O 0.944 0.710 0.480
O 0.364 0.701 0.663
O 0.779 0.245 0.750
O 0.221 0.755 0.250
O 0.733 0.459 0.001
O 0.767 0.959 0.499
O 0.132 0.910 0.750
O 0.864 0.799 0.163
O 0.767 0.959 0.001
O 0.531 0.620 0.093
O 0.556 0.210 0.480
O 0.364 0.701 0.837
O 0.556 0.210 0.020
O 0.969 0.120 0.407
O 0.469 0.380 0.593
O 0.233 0.041 0.501
O 0.267 0.541 0.999
O 0.136 0.201 0.837
O 0.868 0.090 0.250
O 0.031 0.880 0.907
O 0.469 0.380 0.907
O 0.531 0.620 0.407
O 0.444 0.790 0.980
O 0.636 0.299 0.337
O 0.969 0.120 0.093
O 0.444 0.790 0.520
O 0.031 0.880 0.593
O 0.721 0.745 0.750
O 0.864 0.799 0.337
O 0.056 0.290 0.980
O 0.136 0.201 0.663
O 0.233 0.041 0.999
Mn 0.067 0.354 0.750
Mn 0.933 0.646 0.250
Mn 0.433 0.854 0.750
Mn 0.567 0.146 0.250
Cu 0.500 0.000 0.500
Cu 0.000 0.500 0.500
Cu 0.000 0.500 0.000
Cu 0.500 0.000 0.000



(2)
Computed, not measured: a geometry-optimized MnOF structure at the PBE+U level of DFT.

Properties
calculated volume: 11.3 A^3/atom
E_form: -1.8899 eV per atom

a b c (Å): 4.644 5.669 10.384
angles (deg): 83.78 90.00 90.00
Fractional coordinates of all 24 atoms:
F 0.818 0.345 0.032
F 0.807 0.107 0.778
F 0.693 0.107 0.278
F 0.193 0.893 0.222
F 0.682 0.345 0.532
F 0.182 0.655 0.968
F 0.318 0.655 0.468
F 0.307 0.893 0.722
O 0.702 0.602 0.807
O 0.693 0.859 0.054
O 0.807 0.859 0.554
O 0.307 0.141 0.946
O 0.798 0.602 0.307
O 0.298 0.398 0.193
O 0.202 0.398 0.693
O 0.193 0.141 0.446
Mn 0.022 0.128 0.614
Mn 0.532 0.619 0.638
Mn 0.478 0.128 0.114
Mn 0.522 0.872 0.886
Mn 0.032 0.381 0.862
Mn 0.968 0.619 0.138
Mn 0.468 0.381 0.362
Mn 0.978 0.872 0.386



(3)
Computed, not measured: a geometry-optimized Li3Fe8B8O24 structure at the PBE+U level of DFT.

Properties
relative energy among the computed polymorphs: 6.9 meV/atom
calculated volume: 11.2 A^3/atom
E_form: -2.2486 eV per atom

a b c (Å): 5.239 9.056 10.158
angles (deg): 89.78 89.76 89.57
Fractional coordinates of all 43 atoms:
O 0.417 0.320 0.098
O 0.910 0.504 0.655
O 0.591 0.009 0.322
O 0.799 0.465 0.099
O 0.301 0.705 0.179
O 0.781 0.870 0.619
O 0.674 0.056 0.931
O 0.735 0.363 0.430
O 0.806 0.209 0.174
O 0.708 0.292 0.828
O 0.184 0.120 0.372
O 0.200 0.537 0.919
O 0.672 0.614 0.359
O 0.581 0.663 0.852
O 0.288 0.633 0.582
O 0.089 0.153 0.879
O 0.913 0.845 0.134
O 0.322 0.382 0.651
O 0.328 0.941 0.077
O 0.258 0.867 0.423
O 0.412 0.004 0.688
O 0.748 0.130 0.574
O 0.184 0.791 0.843
O 0.087 0.504 0.347
B 0.651 0.997 0.628
B 0.669 0.334 0.125
B 0.174 0.503 0.629
B 0.174 0.830 0.129
B 0.830 0.496 0.380
B 0.339 0.001 0.372
B 0.323 0.662 0.873
B 0.831 0.166 0.878
Fe 0.182 0.487 0.136
Fe 0.837 0.164 0.376
Fe 0.672 0.333 0.629
Fe 0.320 0.664 0.384
Fe 0.674 0.010 0.126
Fe 0.323 0.986 0.877
Fe 0.151 0.847 0.628
Fe 0.827 0.504 0.886
Li 0.656 0.679 0.664
Li 0.690 0.670 0.167
Li 0.336 0.324 0.898



(4)
Computed, not measured: a geometry-optimized CaTb2Mn3O9 structure at the PBE+U level of DFT.

Properties
calculated volume: 11.5 A^3/atom
E_form: -2.8685 eV per atom

a b c (Å): 5.382 7.586 16.838
angles (deg): 90.00 90.00 90.00
Fractional coordinates of all 60 atoms:
O 0.208 0.557 0.599
O 0.697 0.046 0.564
O 0.100 0.250 0.509
O 0.591 0.750 0.322
O 0.104 0.250 0.845
O 0.291 0.548 0.764
O 0.900 0.750 0.491
O 0.409 0.250 0.678
O 0.209 0.952 0.264
O 0.792 0.057 0.401
O 0.303 0.954 0.436
O 0.197 0.954 0.936
O 0.400 0.250 0.009
O 0.303 0.546 0.436
O 0.708 0.443 0.901
O 0.396 0.250 0.345
O 0.291 0.952 0.764
O 0.909 0.750 0.822
O 0.697 0.454 0.564
O 0.292 0.943 0.099
O 0.091 0.250 0.178
O 0.292 0.557 0.099
O 0.709 0.452 0.236
O 0.208 0.943 0.599
O 0.708 0.057 0.901
O 0.791 0.048 0.736
O 0.791 0.452 0.736
O 0.197 0.546 0.936
O 0.209 0.548 0.264
O 0.600 0.750 0.991
O 0.604 0.750 0.655
O 0.803 0.046 0.064
O 0.803 0.454 0.064
O 0.709 0.048 0.236
O 0.792 0.443 0.401
O 0.896 0.750 0.155
Tb 0.015 0.750 0.021
Tb 0.983 0.250 0.312
Tb 0.017 0.750 0.688
Tb 0.485 0.750 0.521
Tb 0.483 0.750 0.188
Tb 0.985 0.250 0.979
Tb 0.517 0.250 0.812
Tb 0.515 0.250 0.479
Mn 0.000 0.500 0.500
Mn 0.499 0.501 0.333
Mn 0.001 0.501 0.833
Mn 0.501 0.001 0.667
Mn 0.999 0.001 0.167
Mn 0.001 0.999 0.833
Mn 0.499 0.999 0.333
Mn 0.500 0.500 0.000
Mn 0.500 0.000 0.000
Mn 0.999 0.499 0.167
Mn 0.501 0.499 0.667
Mn 0.000 0.000 0.500
Ca 0.013 0.750 0.352
Ca 0.487 0.750 0.852
Ca 0.513 0.250 0.148
Ca 0.987 0.250 0.648